Record 1
DFT (PBE) results for a geometry-optimized Dy3Zn11 structure.

- electronic total energy (eV per atom) = -2.32
- formation energy from the elements (eV per atom) = -0.339

abc: 8.142 8.142 8.142
angles: 148.36 114.34 74.72
Fractional positions:
Zn 0.858 0.138 0.720
Zn 0.301 0.659 0.641
Zn 0.018 0.659 0.359
Zn 0.318 0.500 0.818
Zn 0.582 0.862 0.720
Zn 0.982 0.341 0.641
Zn 0.699 0.341 0.359
Zn 0.142 0.862 0.280
Zn 0.682 0.500 0.182
Zn 0.500 0.000 0.500
Zn 0.418 0.138 0.280
Dy 0.294 0.294 0.000
Dy 0.000 0.000 0.000
Dy 0.706 0.706 0.000

---

Record 2
DFT (PBE) results for a geometry-optimized TeO6 structure.

- electronic total energy (eV per atom) = -3.97
- M_tot (μB/cell) = 6.00
- formation energy from the elements (eV per atom) = 0.129
- ΔE to the lowest computed polymorph (meV/atom) = 136

abc: 5.308 5.308 5.308
angles: 60.00 60.00 60.00
Fractional positions:
O 0.262 0.738 0.262
O 0.738 0.262 0.738
O 0.262 0.262 0.738
O 0.738 0.738 0.262
O 0.262 0.738 0.738
O 0.738 0.262 0.262
Te 0.000 0.000 0.000

---

Record 3
DFT (PBE) results for a geometry-optimized KCO2 structure.

- electronic total energy (eV per atom) = -6.62
- formation energy from the elements (eV per atom) = -1.906

abc: 3.504 6.212 11.090
angles: 90.00 90.00 90.00
Fractional positions:
C 0.000 0.431 0.940
C 0.000 0.069 0.440
C 0.000 0.931 0.560
C 0.000 0.569 0.060
O 0.000 0.465 0.159
O 0.000 0.965 0.341
O 0.000 0.035 0.659
O 0.000 0.272 0.451
O 0.000 0.728 0.549
O 0.000 0.772 0.049
O 0.000 0.228 0.951
O 0.000 0.535 0.841
K 0.500 0.596 0.349
K 0.500 0.904 0.849
K 0.500 0.404 0.651
K 0.500 0.096 0.151

---

Record 4
DFT (PBE) results for a geometry-optimized TmBiPt structure.

- electronic total energy (eV per atom) = -5.83
- formation energy from the elements (eV per atom) = -1.017

abc: 4.734 4.734 4.734
angles: 60.00 60.00 60.00
Fractional positions:
Pt 0.250 0.250 0.250
Bi 0.000 0.000 0.000
Tm 0.500 0.500 0.500